DFT (PBE) results for crystalline CeAl20Co2 at its relaxed geometry.

Summary:
As for the total magnetization: 2.6 μB/f.u.

abc: 10.1841 10.1841 10.1841
angles: 60.00 60.00 60.00
Element x y z (fractional)
Ce1 0.1250 0.1250 0.1250
Ce2 0.8750 0.8750 0.8750
Al1 0.0000 0.0000 0.0000
Al2 0.0000 0.0000 0.5000
Al3 0.0000 0.5000 0.0000
Al4 0.0568 0.3268 0.3268
Al5 0.0568 0.3268 0.7896
Al6 0.0568 0.7896 0.3268
Al7 0.2104 0.6732 0.6732
Al8 0.2104 0.6732 0.9432
Al9 0.2104 0.9432 0.6732
Al10 0.2403 0.2403 0.5097
Al11 0.2403 0.5097 0.2403
Al12 0.2403 0.5097 0.5097
Al13 0.3268 0.0568 0.3268
Al14 0.3268 0.0568 0.7896
Al15 0.3268 0.3268 0.0568
Al16 0.3268 0.3268 0.7896
Al17 0.3268 0.7896 0.0568
Al18 0.3268 0.7896 0.3268
Al19 0.4903 0.4903 0.7597
Al20 0.4903 0.7597 0.4903
Al21 0.4903 0.7597 0.7597
Al22 0.5000 0.0000 0.0000
Al23 0.5097 0.2403 0.2403
Al24 0.5097 0.2403 0.5097
Al25 0.5097 0.5097 0.2403
Al26 0.6732 0.2104 0.6732
Al27 0.6732 0.2104 0.9432
Al28 0.6732 0.6732 0.2104
Al29 0.6732 0.6732 0.9432
Al30 0.6732 0.9432 0.2104
Al31 0.6732 0.9432 0.6732
Al32 0.7597 0.4903 0.4903
Al33 0.7597 0.4903 0.7597
Al34 0.7597 0.7597 0.4903
Al35 0.7896 0.0568 0.3268
Al36 0.7896 0.3268 0.0568
Al37 0.7896 0.3268 0.3268
Al38 0.9432 0.2104 0.6732
Al39 0.9432 0.6732 0.2104
Al40 0.9432 0.6732 0.6732
Co1 0.0000 0.5000 0.5000
Co2 0.5000 0.0000 0.5000
Co3 0.5000 0.5000 0.0000
Co4 0.5000 0.5000 0.5000


DFT (PBE) results for crystalline CeAl8Cr4 at its relaxed geometry.

Summary:
As for the total magnetization: 2.5 μB/f.u.

abc: 6.8494 6.8494 6.8494
angles: 97.73 97.73 136.97
Element x y z (fractional)
Ce1 0.0000 0.0000 0.0000
Al1 0.0000 0.3426 0.3426
Al2 0.0000 0.6574 0.6574
Al3 0.2761 0.5000 0.7761
Al4 0.3426 0.0000 0.3426
Al5 0.5000 0.2761 0.7761
Al6 0.5000 0.7239 0.2239
Al7 0.6574 0.0000 0.6574
Al8 0.7239 0.5000 0.2239
Cr1 0.0000 0.0000 0.5000
Cr2 0.0000 0.5000 0.0000
Cr3 0.5000 0.0000 0.0000
Cr4 0.5000 0.5000 0.5000


DFT (PBE) results for crystalline CeAl20Cr2 at its relaxed geometry.

abc: 10.2140 10.2140 10.2140
angles: 60.00 60.00 60.00
Element x y z (fractional)
Ce1 0.1250 0.1250 0.1250
Ce2 0.8750 0.8750 0.8750
Al1 0.0000 0.0000 0.0000
Al2 0.0000 0.0000 0.5000
Al3 0.0000 0.5000 0.0000
Al4 0.0566 0.3262 0.3262
Al5 0.0566 0.3262 0.7911
Al6 0.0566 0.7911 0.3262
Al7 0.2089 0.6738 0.6738
Al8 0.2089 0.6738 0.9434
Al9 0.2089 0.9434 0.6738
Al10 0.2388 0.2388 0.5112
Al11 0.2388 0.5112 0.2388
Al12 0.2388 0.5112 0.5112
Al13 0.3262 0.0566 0.3262
Al14 0.3262 0.0566 0.7911
Al15 0.3262 0.3262 0.0566
Al16 0.3262 0.3262 0.7911
Al17 0.3262 0.7911 0.0566
Al18 0.3262 0.7911 0.3262
Al19 0.4888 0.4888 0.7612
Al20 0.4888 0.7612 0.4888
Al21 0.4888 0.7612 0.7612
Al22 0.5000 0.0000 0.0000
Al23 0.5112 0.2388 0.2388
Al24 0.5112 0.2388 0.5112
Al25 0.5112 0.5112 0.2388
Al26 0.6738 0.2089 0.6738
Al27 0.6738 0.2089 0.9434
Al28 0.6738 0.6738 0.2089
Al29 0.6738 0.6738 0.9434
Al30 0.6738 0.9434 0.2089
Al31 0.6738 0.9434 0.6738
Al32 0.7612 0.4888 0.4888
Al33 0.7612 0.4888 0.7612
Al34 0.7612 0.7612 0.4888
Al35 0.7911 0.0566 0.3262
Al36 0.7911 0.3262 0.0566
Al37 0.7911 0.3262 0.3262
Al38 0.9434 0.2089 0.6738
Al39 0.9434 0.6738 0.2089
Al40 0.9434 0.6738 0.6738
Cr1 0.0000 0.5000 0.5000
Cr2 0.5000 0.0000 0.5000
Cr3 0.5000 0.5000 0.0000
Cr4 0.5000 0.5000 0.5000


DFT (PBE) results for crystalline Ce3AlCrS7 at its relaxed geometry.

Summary:
As for the total magnetization: 2.5 μB/f.u. Its MP2020-corrected energy is -6.849 eV per atom.

abc: 10.0508 10.0508 6.0287
angles: 90.00 90.00 120.00
Element x y z (fractional)
Ce1 0.1409 0.3712 0.0000
Ce2 0.2303 0.8591 0.0000
Ce3 0.3712 0.2303 0.5000
Ce4 0.6288 0.7697 0.0000
Ce5 0.7697 0.1409 0.5000
Ce6 0.8591 0.6288 0.5000
Al1 0.3333 0.6667 0.4214
Al2 0.6667 0.3333 0.9214
Cr1 0.0000 0.0000 0.2835
Cr2 0.0000 0.0000 0.7835
S1 0.0894 0.2319 0.5399
S2 0.0956 0.5792 0.2728
S3 0.1425 0.9106 0.5399
S4 0.2319 0.1425 0.0399
S5 0.3333 0.6667 0.7918
S6 0.4208 0.5164 0.2728
S7 0.4836 0.9044 0.2728
S8 0.5164 0.0956 0.7728
S9 0.5792 0.4836 0.7728
S10 0.6667 0.3333 0.2918
S11 0.7681 0.8575 0.5399
S12 0.8575 0.0894 0.0399
S13 0.9044 0.4208 0.7728
S14 0.9106 0.7681 0.0399


So what do the calculations give for ΔH_f (0 K)? Going down the list: -0.17; -0.20; -0.17; -1.84 eV per atom.